This record from the Materials Project database describes an optimized crystal structure of Na3MgInSiS2O12. The functional is GGA-PBE.

The calculation puts the density at 3.0 g cm⁻³. For the formation energy, the calculation gives -2.323 eV/atom. The space-group type is Cc. For the total energy, the calculation gives -717.712 eV for the cell shown.

abc: 9.127 9.097 22.623
angles: 90.41 90.00 120.11
Fractional coordinates of all 120 atoms:
S1 0.999 0.702 0.752
S2 0.000 0.293 0.250
S3 0.044 0.371 0.918
S4 0.703 0.702 0.252
S5 0.369 0.339 0.085
S6 0.039 0.666 0.417
S7 0.669 0.035 0.085
S8 0.292 0.293 0.750
S9 0.970 0.339 0.585
S10 0.327 0.371 0.418
S11 0.367 0.035 0.585
S12 0.626 0.666 0.917
O1 0.811 0.019 0.811
O2 0.309 0.452 0.472
O3 0.698 0.538 0.244
O4 0.976 0.181 0.300
O5 0.829 0.030 0.092
O6 0.208 0.019 0.311
O7 0.147 0.680 0.468
O8 0.180 0.198 0.412
O9 0.990 0.821 0.083
O10 0.884 0.356 0.637
O11 0.525 0.899 0.357
O12 0.639 0.118 0.136
O13 0.669 0.166 0.745
O14 0.190 0.189 0.090
O15 0.519 0.864 0.078
O16 0.848 0.313 0.246
O17 0.153 0.466 0.256
O18 0.873 0.358 0.920
O19 0.018 0.198 0.912
O20 0.533 0.680 0.968
O21 0.465 0.313 0.746
O22 0.530 0.636 0.860
O23 0.643 0.156 0.423
O24 0.773 0.815 0.199
O25 0.795 0.825 0.914
O26 0.137 0.493 0.577
O27 0.200 0.030 0.592
O28 0.999 0.189 0.590
O29 0.304 0.852 0.976
O30 0.344 0.864 0.578
O31 0.492 0.642 0.581
O32 0.147 0.676 0.757
O33 0.030 0.825 0.414
O34 0.042 0.815 0.699
O35 0.472 0.356 0.137
O36 0.439 0.138 0.530
O37 0.188 0.963 0.192
O38 0.861 0.294 0.531
O39 0.485 0.358 0.420
O40 0.840 0.538 0.744
O41 0.977 0.786 0.805
O42 0.831 0.821 0.583
O43 0.862 0.520 0.420
O44 0.351 0.477 0.364
O45 0.312 0.466 0.756
O46 0.374 0.899 0.857
O47 0.434 0.294 0.031
O48 0.808 0.786 0.305
O49 0.775 0.963 0.692
O50 0.686 0.543 0.522
O51 0.199 0.220 0.693
O52 0.699 0.138 0.030
O53 0.548 0.852 0.476
O54 0.021 0.220 0.193
O55 0.356 0.493 0.077
O56 0.155 0.977 0.910
O57 0.143 0.452 0.972
O58 0.823 0.977 0.410
O59 0.641 0.508 0.642
O60 0.658 0.520 0.920
O61 0.205 0.181 0.800
O62 0.867 0.508 0.142
O63 0.510 0.824 0.752
O64 0.314 0.824 0.252
O65 0.479 0.118 0.636
O66 0.497 0.166 0.245
O67 0.857 0.543 0.022
O68 0.126 0.477 0.864
O69 0.105 0.636 0.360
O70 0.528 0.676 0.257
O71 0.150 0.642 0.081
O72 0.513 0.156 0.923
In1 0.677 0.335 0.486
In2 0.658 0.335 0.986
In3 0.342 0.680 0.820
In4 0.001 0.982 0.152
In5 0.981 0.982 0.652
In6 0.339 0.680 0.320
Na1 0.339 0.028 0.406
Na2 0.650 0.310 0.331
Na3 0.689 0.028 0.906
Na4 0.328 0.668 0.164
Na5 0.317 0.348 0.586
Na6 0.660 0.310 0.831
Na7 0.031 0.348 0.086
Na8 0.982 0.680 0.925
Na9 0.009 0.646 0.240
Na10 0.698 0.680 0.425
Na11 0.660 0.947 0.581
Na12 0.624 0.003 0.254
Na13 0.011 0.986 0.997
Na14 0.380 0.003 0.754
Na15 0.340 0.668 0.664
Na16 0.288 0.947 0.081
Na17 0.975 0.986 0.497
Na18 0.637 0.646 0.740
Si1 0.330 0.972 0.919
Si2 0.961 0.625 0.085
Si3 0.303 0.006 0.253
Si4 0.703 0.006 0.753
Si5 0.642 0.972 0.419
Si6 0.664 0.625 0.585
Mg1 0.006 0.012 0.850
Mg2 0.006 0.012 0.350
Mg3 0.677 0.335 0.684
Mg4 0.351 0.673 0.517
Mg5 0.322 0.673 0.017
Mg6 0.657 0.335 0.184

***

This record from the Materials Project database describes an optimized crystal structure of Ba4Si22Au. The functional is GGA-PBE.

The calculation puts the density at 4.0 g cm⁻³. For the formation energy, the calculation gives -0.176 eV/atom. The space-group type is Ama2. For the total energy, the calculation gives -270.133 eV for the cell shown.

abc: 10.427 10.427 10.505
angles: 90.00 90.00 90.01
Fractional coordinates of all 54 atoms:
Si1 0.303 0.617 0.750
Si2 0.502 0.250 0.750
Si3 0.313 0.817 0.064
Si4 0.683 0.185 0.064
Si5 0.002 0.807 0.872
Si6 0.685 0.818 0.436
Si7 0.002 0.807 0.628
Si8 0.817 0.313 0.564
Si9 0.998 0.998 0.000
Si10 0.685 0.818 0.064
Si11 0.620 0.699 0.250
Si12 0.807 0.002 0.372
Si13 0.683 0.185 0.436
Si14 0.190 0.001 0.132
Si15 0.185 0.313 0.934
Si16 0.699 0.620 0.750
Si17 0.001 0.190 0.632
Si18 0.313 0.185 0.434
Si19 0.190 0.001 0.368
Si20 0.306 0.380 0.750
Si21 0.817 0.313 0.936
Si22 0.883 0.498 0.445
Si23 0.998 0.998 0.500
Si24 0.380 0.306 0.250
Si25 0.818 0.685 0.936
Si26 0.313 0.185 0.066
Si27 0.617 0.303 0.250
Si28 0.185 0.683 0.564
Si29 0.698 0.379 0.750
Si30 0.250 0.502 0.250
Si31 0.497 0.120 0.556
Si32 0.185 0.683 0.936
Si33 0.379 0.698 0.250
Si34 0.120 0.497 0.056
Si35 0.498 0.883 0.555
Si36 0.185 0.313 0.566
Si37 0.497 0.120 0.944
Si38 0.313 0.817 0.436
Si39 0.818 0.685 0.564
Si40 0.807 0.002 0.128
Si41 0.883 0.498 0.055
Si42 0.001 0.190 0.868
Si43 0.498 0.883 0.945
Si44 0.120 0.497 0.444
Au1 0.749 0.500 0.250
Au2 0.500 0.749 0.750
Ba1 0.503 0.999 0.250
Ba2 0.511 0.511 0.500
Ba3 0.990 0.742 0.250
Ba4 0.256 0.992 0.750
Ba5 0.742 0.990 0.750
Ba6 0.992 0.256 0.250
Ba7 0.999 0.503 0.750
Ba8 0.511 0.511 0.000